Here is crystalline PdSCl at its relaxed geometry from Materials Project. Energies are from r2SCAN.

Cell lengths 8.931, 9.288, 16.418 Å; angles 90.00, 121.68, 90.00 degrees
Space group P2_1/c (No. 14)
Symmetry-distinct sites (fractional):
Pd: 0.042 0.198 0.019 [4 per cell]
Pd: 0.078 0.097 0.682 [4 per cell]
Pd: 0.280 0.080 0.478 [4 per cell]
Pd: 0.318 0.624 0.142 [4 per cell]
S: 0.117 0.729 0.411 [4 per cell]
S: 0.270 0.241 0.668 [4 per cell]
S: 0.346 0.659 0.013 [4 per cell]
S: 0.424 0.099 0.641 [4 per cell]
Cl: 0.143 0.037 0.311 [4 per cell]
Cl: 0.211 0.638 0.631 [4 per cell]
Cl: 0.230 0.168 0.958 [4 per cell]
Cl: 0.305 0.569 0.280 [4 per cell]

Summary:
Energy of formation = -0.4802 eV per atom
Size of the total moment = 0.00 μB per formula unit

Here is crystalline PdSe2Cl6 at its relaxed geometry from Materials Project. Energies are from r2SCAN.

Cell lengths 16.853, 8.471, 7.250 Å; angles 90.00, 99.88, 90.00 degrees
Space group C2/c (No. 15)
Symmetry-distinct sites (fractional):
Pd: 0.000 0.169 0.250 [4 per cell]
Se: 0.103 0.173 0.057 [8 per cell]
Cl: 0.079 0.170 0.545 [8 per cell]
Cl: 0.109 0.431 0.033 [8 per cell]
Cl: 0.218 0.134 0.235 [8 per cell]

Summary:
Energy of formation = -0.4082 eV per atom
Size of the total moment = 0.00 μB per formula unit

What is the formula in the first record? PdSCl

Which formula does entry 2 have? PdSe2Cl6